[1]
Material: TmAl3
Method: DFT, r²SCAN
State: relaxed

Lattice parameters (Å, degrees): 4.1920 4.1920 4.1920 90.00 90.00 90.00
Last column: nearest neighbours and their distance in Å.
Positions (direct):
Tm: 0.0000 0.0000 0.0000  12 Al 2.96
Al: 0.0000 0.5000 0.5000  4 Tm 2.96, 8 Al 2.96
Al: 0.5000 0.0000 0.5000  4 Tm 2.96, 8 Al 2.96
Al: 0.5000 0.5000 0.0000  4 Tm 2.96, 8 Al 2.96

Output
Space group = No. 221
Crystal system = cubic
Density = 5.6 g/cm³
E_form = -0.452 eV per atom
Volume = 18.4 A^3/atom

[2]
Material: Cu3PdAu4
Method: DFT, r²SCAN
State: relaxed

Lattice parameters (Å, degrees): 2.8984 2.8984 14.2468 90.00 90.00 90.00
Last column: nearest neighbours and their distance in Å.
Positions (direct):
Cu: 0.0000 0.0000 0.0000  8 Au 2.69, 4 Cu 2.90
Cu: 0.0000 0.0000 0.2439  8 Au 2.66-2.69, 4 Cu 2.90
Cu: 0.0000 0.0000 0.7561  8 Au 2.66-2.69, 4 Cu 2.90
Pd: 0.0000 0.0000 0.5000  8 Au 2.83, 4 Pd 2.90
Au: 0.5000 0.5000 0.1219  8 Cu 2.69, 4 Au 2.90
Au: 0.5000 0.5000 0.3634  4 Cu 2.66, 4 Pd 2.83, 4 Au 2.90
Au: 0.5000 0.5000 0.6366  4 Cu 2.66, 4 Pd 2.83, 4 Au 2.90
Au: 0.5000 0.5000 0.8781  8 Cu 2.69, 4 Au 2.90

Output
Space group = No. 123
Crystal system = tetragonal
Density = 15.1 g/cm³
E_form = -0.084 eV per atom
Volume = 15.0 A^3/atom

[3]
Material: Na10Zn7Sn7H24S26O12
Method: DFT, r²SCAN
State: relaxed

Lattice parameters (Å, degrees): 12.5814 12.5814 12.5814 59.96 59.96 59.96
Last column: nearest neighbours and their distance in Å.
Positions (direct):
Na: 0.0000 0.0000 0.0000  3 O 2.62, 3 H 2.79, 3 S 2.90
Na: 0.1016 0.1016 0.1016  6 O 2.34
Na: 0.4143 0.9951 0.9959  3 O 2.63-2.70, 3 H 2.75-2.86, 3 S 2.84-2.90
Na: 0.4982 0.4982 0.4982  3 O 2.70, 3 H 2.78, 3 S 2.85
Na: 0.5047 0.5054 0.9048  3 O 2.56-2.62, 3 H 2.70-2.81, 2 S 2.86
Na: 0.5054 0.9048 0.5047  3 O 2.56-2.62, 3 H 2.70-2.81, 2 S 2.86
Na: 0.6015 0.6015 0.6015  6 O 2.33-2.35
Na: 0.9048 0.5047 0.5054  3 O 2.56-2.62, 3 H 2.70-2.81, 2 S 2.86
Na: 0.9951 0.9959 0.4143  3 O 2.63-2.70, 3 H 2.75-2.86, 3 S 2.84-2.90
Na: 0.9959 0.4143 0.9951  3 O 2.63-2.70, 3 H 2.75-2.86, 3 S 2.84-2.90
Zn: 0.0776 0.7746 0.7763  4 S 2.31-2.34
Zn: 0.2717 0.2737 0.5944  4 S 2.28-2.43
Zn: 0.2737 0.5944 0.2717  4 S 2.28-2.43
Zn: 0.5944 0.2717 0.2737  4 S 2.28-2.43
Zn: 0.7746 0.7763 0.0776  4 S 2.31-2.34
Zn: 0.7763 0.0776 0.7746  4 S 2.31-2.34
Zn: 0.7761 0.7761 0.7761  4 S 2.32-2.33
Sn: 0.0911 0.6157 0.1021  4 S 2.38-2.50
Sn: 0.1021 0.0911 0.6157  4 S 2.38-2.50
Sn: 0.1016 0.6017 0.6041  4 S 2.40-2.41
Sn: 0.2811 0.2811 0.2811  4 S 2.39-2.40
Sn: 0.6017 0.6041 0.1016  4 S 2.40-2.41
Sn: 0.6041 0.1016 0.6017  4 S 2.40-2.41
Sn: 0.6157 0.1021 0.0911  4 S 2.38-2.50
H: 0.2517 0.8740 0.2817  1 O 0.98
H: 0.2577 0.9963 0.8758  1 O 0.98
H: 0.2590 0.2759 0.9939  1 O 0.98
H: 0.2759 0.9939 0.2590  1 O 0.98
H: 0.2806 0.8754 0.9976  1 O 0.98
H: 0.2817 0.2517 0.8740  1 O 0.98
H: 0.3756 0.4990 0.7531  1 O 0.98
H: 0.3775 0.7803 0.4966  1 O 0.98
H: 0.3787 0.7556 0.7795  1 O 0.98
H: 0.4966 0.3775 0.7803  1 O 0.98
H: 0.4990 0.7531 0.3756  1 O 0.98
H: 0.5002 0.7801 0.7546  1 O 0.99
H: 0.7531 0.3756 0.4990  1 O 0.98
H: 0.7546 0.5002 0.7801  1 O 0.99
H: 0.7556 0.7795 0.3787  1 O 0.98
H: 0.7795 0.3787 0.7556  1 O 0.98
H: 0.7803 0.4966 0.3775  1 O 0.98
H: 0.7801 0.7546 0.5002  1 O 0.99
H: 0.8740 0.2817 0.2517  1 O 0.98
H: 0.8754 0.9976 0.2806  1 O 0.98
H: 0.8758 0.2577 0.9963  1 O 0.98
H: 0.9939 0.2590 0.2759  1 O 0.98
H: 0.9963 0.8758 0.2577  1 O 0.98
H: 0.9976 0.2806 0.8754  1 O 0.98
S: 0.0629 0.4083 0.6579  1 Zn 2.28, 1 H 2.33, 1 Sn 2.41
S: 0.0635 0.6531 0.2840  1 Zn 2.31, 1 H 2.38, 1 Sn 2.39
S: 0.0639 0.2770 0.4155  2 Sn 2.40-2.50, 1 H 2.46
S: 0.1565 0.9082 0.5640  1 Zn 2.34, 1 H 2.36, 1 Sn 2.38
S: 0.1574 0.7807 0.9053  1 Zn 2.34, 1 H 2.36, 1 Sn 2.38
S: 0.1585 0.5630 0.7798  1 Zn 2.31, 1 H 2.32, 1 Sn 2.41
S: 0.2770 0.4155 0.0639  2 Sn 2.40-2.50, 1 H 2.46
S: 0.2791 0.6576 0.4105  1 Zn 2.29, 1 H 2.32, 1 Sn 2.41
S: 0.2840 0.0635 0.6531  1 Zn 2.31, 1 H 2.38, 1 Sn 2.39
S: 0.3586 0.3586 0.3586  1 Sn 2.39, 3 Zn 2.43
S: 0.4083 0.6579 0.0629  1 Zn 2.28, 1 H 2.33, 1 Sn 2.41
S: 0.4105 0.2791 0.6576  1 Zn 2.29, 1 H 2.32, 1 Sn 2.41
S: 0.4155 0.0639 0.2770  2 Sn 2.40-2.50, 1 H 2.46
S: 0.5630 0.7798 0.1585  1 Zn 2.31, 1 H 2.32, 1 Sn 2.41
S: 0.5640 0.1565 0.9082  1 Zn 2.34, 1 H 2.36, 1 Sn 2.38
S: 0.5650 0.9085 0.7771  1 H 2.32, 1 Zn 2.32, 1 Sn 2.40
S: 0.6531 0.2840 0.0635  1 Zn 2.31, 1 H 2.38, 1 Sn 2.39
S: 0.6579 0.0629 0.4083  1 Zn 2.28, 1 H 2.33, 1 Sn 2.41
S: 0.6576 0.4105 0.2791  1 Zn 2.29, 1 H 2.32, 1 Sn 2.41
S: 0.7771 0.5650 0.9085  1 H 2.32, 1 Zn 2.32, 1 Sn 2.40
S: 0.7798 0.1585 0.5630  1 Zn 2.31, 1 H 2.32, 1 Sn 2.41
S: 0.7807 0.9053 0.1574  1 Zn 2.34, 1 H 2.36, 1 Sn 2.38
S: 0.8518 0.8518 0.8518  4 Zn 2.32-2.33
S: 0.9053 0.1574 0.7807  1 Zn 2.34, 1 H 2.36, 1 Sn 2.38
S: 0.9082 0.5640 0.1565  1 Zn 2.34, 1 H 2.36, 1 Sn 2.38
S: 0.9085 0.7771 0.5650  1 H 2.32, 1 Zn 2.32, 1 Sn 2.40
O: 0.2311 0.9685 0.2353  2 H 0.98
O: 0.2338 0.9698 0.9704  2 H 0.98
O: 0.2353 0.2311 0.9685  2 H 0.98
O: 0.4691 0.4723 0.7368  2 H 0.98
O: 0.4723 0.7368 0.4691  2 H 0.98
O: 0.4730 0.7338 0.7336  2 H 0.98-0.99
O: 0.7336 0.4730 0.7338  2 H 0.98-0.99
O: 0.7338 0.7336 0.4730  2 H 0.98-0.99
O: 0.7368 0.4691 0.4723  2 H 0.98
O: 0.9685 0.2353 0.2311  2 H 0.98
O: 0.9704 0.2338 0.9698  2 H 0.98
O: 0.9698 0.9704 0.2338  2 H 0.98

Output
Space group = No. 146
Crystal system = trigonal
Density = 3.0 g/cm³
E_form = -0.989 eV per atom
Volume = 16.4 A^3/atom

[4]
Material: HoMn2Si2
Method: DFT, r²SCAN
State: relaxed

Lattice parameters (Å, degrees): 5.8972 5.8972 5.8972 141.73 141.73 55.24
Last column: nearest neighbours and their distance in Å.
Positions (direct):
Ho: 0.0000 0.0000 0.0000  8 Si 2.99, 8 Mn 3.25
Mn: 0.2500 0.7500 0.5000  4 Si 2.38
Mn: 0.7500 0.2500 0.5000  4 Si 2.38
Si: 0.3830 0.3830 0.0000  4 Mn 2.38, 1 Si 2.45
Si: 0.6170 0.6170 0.0000  4 Mn 2.38, 1 Si 2.45

Output
Space group = No. 139
Crystal system = tetragonal
Density = 7.0 g/cm³
E_form = -0.675 eV per atom
Volume = 15.6 A^3/atom

[5]
Material: Fe7Co
Method: DFT, r²SCAN
State: relaxed

Lattice parameters (Å, degrees): 4.9244 4.9244 4.9244 109.47 109.47 109.47
Last column: nearest neighbours and their distance in Å.
Positions (direct):
Fe: 0.0000 0.0000 0.5000  6 Fe 2.46, 2 Co 2.46
Fe: 0.0000 0.5000 0.0000  6 Fe 2.46, 2 Co 2.46
Fe: 0.0000 0.5000 0.5000  8 Fe 2.46
Fe: 0.5000 0.0000 0.0000  6 Fe 2.46, 2 Co 2.46
Fe: 0.5000 0.0000 0.5000  8 Fe 2.46
Fe: 0.5000 0.5000 0.0000  8 Fe 2.46
Fe: 0.5000 0.5000 0.5000  6 Fe 2.46, 2 Co 2.46
Co: 0.0000 0.0000 0.0000  8 Fe 2.46

Output
Space group = No. 229
Crystal system = cubic
Density = 8.1 g/cm³
E_form = -0.054 eV per atom
Volume = 11.5 A^3/atom